{
  "formula": "EuMgMnO3",
  "functional": "GGA+U",
  "state": "optimized geometry",
  "lattice_angstrom": [[3.943, 0.000, 0.000], [0.000, 3.943, 0.000], [0.000, 0.000, 6.954]],
  "species": ["Eu", "Mg", "Mn", "O", "O", "O"],
  "fractional_positions": [[0.000, 0.000, 0.000], [0.000, 0.000, 0.500], [0.500, 0.500, 0.500], [0.000, 0.500, 0.500], [0.500, 0.000, 0.500], [0.500, 0.500, 0.000]],
  "total_energy_ev_per_atom": -7.435,
  "sg": "P4/mmm",
  "e_form_kj_per_mol_atoms": -200.6
}